A relaxed structure of CaNdGa3O7. Source: Materials Project, functional PBE-GGA.

Output
V	673.9	Å³/cell
total magnetization	0.00	μB/cell
energy of formation	-2.816	eV per atom
energy above the most stable polymorph in this dataset	3	meV per atom

Cell: 11.237 11.347 5.285 Å, 90.00 90.00 90.00°
Space group Cmm2 (No. 35)
Inequivalent atoms, fractional coordinates:
Ca 0.160 0.000 0.000 x4
Nd 0.000 0.337 0.973 x4
Ga 0.000 0.143 0.521 x4
Ga 0.146 0.500 0.447 x4
Ga 0.250 0.250 0.477 x4
O 0.000 0.000 0.690 x2
O 0.000 0.145 0.177 x4
O 0.000 0.500 0.276 x2
O 0.124 0.220 0.693 x8
O 0.134 0.500 0.791 x4
O 0.212 0.374 0.266 x8

***

A relaxed structure of CaNdGa3O7. Source: Materials Project, functional PBE-GGA.

Output
V	337.4	Å³/cell
total magnetization	0.00	μB/cell
energy of formation	-2.820	eV per atom
energy above the most stable polymorph in this dataset	0	meV per atom

Cell: 5.293 7.975 7.995 Å, 90.00 90.28 90.00°
Space group P2_1 (No. 4)
Inequivalent atoms, fractional coordinates:
Ca 0.014 0.000 0.420 x2
Nd 0.014 0.322 0.095 x2
Ga 0.463 0.807 0.605 x2
Ga 0.465 0.519 0.893 x2
Ga 0.500 0.162 0.751 x2
O 0.191 0.027 0.100 x2
O 0.194 0.305 0.379 x2
O 0.282 0.000 0.668 x2
O 0.282 0.575 0.088 x2
O 0.293 0.319 0.853 x2
O 0.294 0.760 0.406 x2
O 0.295 0.658 0.747 x2

***

A relaxed structure of CaGa3Ni2. Source: Materials Project, functional PBE-GGA.

Output
V	398.7	Å³/cell
energy of formation	-0.482	eV per atom

Cell: 9.780 7.893 5.165 Å, 90.00 90.00 90.00°
Space group Cmcm (No. 63)
Inequivalent atoms, fractional coordinates:
Ca 0.000 0.156 0.250 x4
Ga 0.000 0.450 0.750 x4
Ga 0.188 0.222 0.750 x8
Ni 0.211 0.500 0.000 x8

***

A relaxed structure of CaGa2O4. Source: Materials Project, functional PBE-GGA.

Output
V	771.4	Å³/cell
total magnetization	0.00	μB/cell
energy of formation	-2.635	eV per atom
energy above the most stable polymorph in this dataset	1	meV per atom

Cell: 8.074 8.938 10.729 Å, 90.00 94.87 90.00°
Space group P2_1/c (No. 14)
Inequivalent atoms, fractional coordinates:
Ca 0.001 0.215 0.128 x4
Ca 0.463 0.239 0.144 x4
Ga 0.175 0.556 0.138 x4
Ga 0.235 0.058 0.370 x4
Ga 0.291 0.608 0.617 x4
Ga 0.301 0.096 0.890 x4
O 0.028 0.529 0.829 x4
O 0.138 0.744 0.069 x4
O 0.209 0.072 0.044 x4
O 0.233 0.244 0.285 x4
O 0.274 0.586 0.303 x4
O 0.278 0.083 0.541 x4
O 0.369 0.566 0.782 x4
O 0.488 0.663 0.552 x4

***

A relaxed structure of CaGa4O7. Source: Materials Project, functional PBE-GGA.

Output
V	673.2	Å³/cell
energy of formation	-2.506	eV per atom

Cell: 13.279 9.219 5.681 Å, 90.00 104.55 90.00°
Space group C2/c (No. 15)
Inequivalent atoms, fractional coordinates:
Ca 0.000 0.208 0.250 x4
Ga 0.121 0.436 0.745 x8
Ga 0.160 0.085 0.815 x8
O 0.000 0.464 0.250 x4
O 0.113 0.249 0.636 x8
O 0.114 0.067 0.096 x8
O 0.193 0.439 0.080 x8

***

A relaxed structure of CaGa2O4. Source: Materials Project, functional PBE-GGA.

Output
V	757.2	Å³/cell
total magnetization	0.00	μB/cell
energy of formation	-2.636	eV per atom
energy above the most stable polymorph in this dataset	0	meV per atom

Cell: 10.457 7.837 9.241 Å, 90.00 90.00 90.00°
Space group Pna2_1 (No. 33)
Inequivalent atoms, fractional coordinates:
Ca 0.113 0.003 0.000 x4
Ca 0.179 0.496 0.048 x4
Ga 0.094 0.687 0.672 x4
Ga 0.117 0.286 0.673 x4
Ga 0.129 0.694 0.345 x4
Ga 0.152 0.243 0.345 x4
O 0.031 0.479 0.610 x4
O 0.043 0.239 0.852 x4
O 0.049 0.173 0.194 x4
O 0.091 0.137 0.515 x4
O 0.179 0.662 0.846 x4
O 0.198 0.473 0.320 x4
O 0.203 0.795 0.178 x4
O 0.205 0.750 0.523 x4

***

A relaxed structure of CaGa2O4. Source: Materials Project, functional PBE-GGA.

Output
V	299.6	Å³/cell
total magnetization	0.00	μB/cell
energy of formation	-2.589	eV per atom
energy above the most stable polymorph in this dataset	48	meV per atom

Cell: 9.239 3.031 10.698 Å, 90.00 90.00 90.00°
Space group Pnma (No. 62)
Inequivalent atoms, fractional coordinates:
Ca 0.243 0.250 0.154 x4
Ga 0.065 0.250 0.389 x4
Ga 0.082 0.250 0.896 x4
O 0.028 0.750 0.784 x4
O 0.082 0.250 0.572 x4
O 0.118 0.750 0.023 x4
O 0.204 0.750 0.338 x4

***

A relaxed structure of Ca3Ga2Si3O12. Source: Materials Project, functional PBE-GGA.

Output
V	1782.7	Å³/cell
total magnetization	0.00	μB/cell
energy of formation	-3.141	eV per atom

Cell: 12.125 12.125 12.125 Å, 90.00 90.00 90.00°
Space group Ia-3d (No. 230)
Inequivalent atoms, fractional coordinates:
Ca 0.000 0.250 0.125 x24
Ga 0.000 0.000 0.000 x16
Si 0.000 0.250 0.375 x24
O 0.039 0.048 0.655 x96

***

- Number 4 is which compound?
  CaGa2O4

***

- The highest energy of formation belongs to which entry?
  CaGa3Ni2

***

Copy entry 5 word for word.
A relaxed structure of CaGa4O7. Source: Materials Project, functional PBE-GGA.

Output
V	673.2	Å³/cell
energy of formation	-2.506	eV per atom

Cell: 13.279 9.219 5.681 Å, 90.00 104.55 90.00°
Space group C2/c (No. 15)
Inequivalent atoms, fractional coordinates:
Ca 0.000 0.208 0.250 x4
Ga 0.121 0.436 0.745 x8
Ga 0.160 0.085 0.815 x8
O 0.000 0.464 0.250 x4
O 0.113 0.249 0.636 x8
O 0.114 0.067 0.096 x8
O 0.193 0.439 0.080 x8

***

What did the third record say?
A relaxed structure of CaGa3Ni2. Source: Materials Project, functional PBE-GGA.

Output
V	398.7	Å³/cell
energy of formation	-0.482	eV per atom

Cell: 9.780 7.893 5.165 Å, 90.00 90.00 90.00°
Space group Cmcm (No. 63)
Inequivalent atoms, fractional coordinates:
Ca 0.000 0.156 0.250 x4
Ga 0.000 0.450 0.750 x4
Ga 0.188 0.222 0.750 x8
Ni 0.211 0.500 0.000 x8